A geometry-optimized Ti3Bi6WO18 structure. Source: the Materials Project, functional PBE+U.

Unit cell a=5.408 b=5.454 c=13.067 alpha=90.41 beta=101.79 gamma=89.93
Sites, in units of the cell vectors:
1 O 0.649 0.444 0.682
2 O 0.902 0.714 0.868
3 O 0.746 0.729 0.499
4 O 0.032 0.941 0.685
5 O 0.257 0.231 0.502
6 O 0.637 0.142 0.179
7 Ti 0.158 0.954 0.822
8 O 0.546 0.639 0.179
9 Bi 0.729 0.996 0.984
10 Bi 0.030 0.496 0.602
11 O 0.683 0.412 0.010
12 Bi 0.244 0.509 0.983
13 O 0.100 0.219 0.139
14 Ti 0.336 0.958 0.176
15 O 0.963 0.217 0.864
16 W 0.832 0.447 0.171
17 O 0.367 0.632 0.833
18 Bi 0.577 0.999 0.602
19 O 0.338 0.936 0.315
20 O 0.969 0.445 0.315
21 O 0.469 0.135 0.833
22 O 0.248 0.729 0.503
23 Bi 0.434 0.493 0.400
24 Bi 0.980 0.988 0.398
25 O 0.326 0.913 0.004
26 O 0.029 0.712 0.136
27 O 0.757 0.230 0.499
28 Ti 0.662 0.449 0.819

Output
* mass density: 8.2 g/cm³
* formation energy from the elements: -2358 meV per atom